The following is a PBE+U calculation of a geometry-optimized Ba2V2F11 structure, from Materials Project.

Raw total energy: -5.757 eV/atom
Space group: P3_2
Energy of formation: -3.45 eV/atom

a = 7.8487 Å, b = 7.8487 Å, c = 14.3883 Å
α = 90.00°, β = 90.00°, γ = 120.00°
Atoms (fractional coordinates):
F 0.3307 0.0507 0.0091
F 0.6461 0.0405 0.5078
V 0.9276 0.1529 0.0606
Ba 0.5847 0.1711 0.6557
Ba 0.5408 0.6952 0.4763
F 0.4967 0.6074 0.1552
F 0.6570 0.0607 0.0282
V 0.0266 0.6610 0.5532
F 0.2042 0.2869 0.0922
V 0.3390 0.3656 0.2199
F 0.1688 0.0759 0.2560
F 0.5158 0.7169 0.9409
F 0.7557 0.4783 0.5155
F 0.3105 0.1338 0.5146
F 0.2831 0.7989 0.6075
F 0.4036 0.3430 0.3615
F 0.8662 0.1768 0.1813
F 0.9842 0.3972 0.0143
F 0.4130 0.0158 0.3477
Ba 0.8289 0.4136 0.3224
Ba 0.3048 0.8456 0.1430
F 0.8232 0.6895 0.8480
F 0.1107 0.5033 0.4886
F 0.0840 0.9834 0.7397
F 0.3944 0.3539 0.8411
F 0.7225 0.2443 0.8488
F 0.9241 0.0929 0.9226
F 0.0827 0.7958 0.4255
F 0.6028 0.5870 0.6810
F 0.9493 0.2800 0.6758
F 0.0166 0.1006 0.4063
F 0.5217 0.2775 0.1822
F 0.8994 0.9160 0.0730
V 0.2254 0.0724 0.3940
V 0.8471 0.7746 0.7273
Ba 0.5864 0.4153 0.9891
V 0.6344 0.9734 0.8866
F 0.9071 0.8312 0.5893
F 0.9393 0.5964 0.6948
F 0.7200 0.6693 0.3425
F 0.3926 0.8893 0.8219
F 0.9595 0.6056 0.1745
Ba 0.1544 0.4592 0.8097
F 0.2011 0.4842 0.2742
F 0.7131 0.9173 0.7588